First-principles (r²SCAN) data for a geometry-optimized KW6O18 structure, as listed in the Materials Project database.

Summary:
symmetry = P-31m (162)

```
data_KW6O18
_cell_length_a 7.4319
_cell_length_b 7.4319
_cell_length_c 7.5764
_cell_angle_alpha 90.00
_cell_angle_beta 90.00
_cell_angle_gamma 120.00
_space_group_name_H-M_alt 'P 1'
_space_group_IT_number 1
_space_group_name_Hall 'P 1'
loop_
_atom_site_label
_atom_site_fract_x
_atom_site_fract_y
_atom_site_fract_z
O1 0.5000 0.0000 0.0000
O2 0.5000 0.5000 0.5000
W1 0.4763 0.4763 0.7505
O3 0.7923 0.2155 0.7480
O4 0.7923 0.5768 0.2520
W2 0.5237 0.0000 0.7505
K1 0.0000 0.0000 0.5000
O5 0.2155 0.7923 0.7480
O6 0.5000 0.5000 0.0000
W3 0.0000 0.5237 0.7505
O7 0.2077 0.7845 0.2520
O8 0.0000 0.5000 0.5000
O9 0.5768 0.7845 0.7480
O10 0.7845 0.5768 0.7480
W4 0.0000 0.4763 0.2495
W5 0.5237 0.5237 0.2495
O11 0.5000 0.0000 0.5000
O12 0.2155 0.4232 0.2520
O13 0.4232 0.2077 0.7480
O14 0.2077 0.4232 0.7480
O15 0.4232 0.2155 0.2520
O16 0.5768 0.7923 0.2520
O17 0.7845 0.2077 0.2520
O18 0.0000 0.5000 0.0000
W6 0.4763 0.0000 0.2495
```

=====

First-principles (r²SCAN) data for a geometry-optimized KW6O18 structure, as listed in the Materials Project database.

Summary:
symmetry = P6/mmm (191)

```
data_KW6O18
_cell_length_a 7.4066
_cell_length_b 7.4066
_cell_length_c 7.6168
_cell_angle_alpha 90.00
_cell_angle_beta 90.00
_cell_angle_gamma 120.00
_space_group_name_H-M_alt 'P 1'
_space_group_IT_number 1
_space_group_name_Hall 'P 1'
loop_
_atom_site_label
_atom_site_fract_x
_atom_site_fract_y
_atom_site_fract_z
O1 0.4252 0.2126 0.2520
W1 0.0000 0.5000 0.7505
O2 0.5000 0.0000 0.5000
O3 0.7874 0.2126 0.2520
W2 0.5000 0.0000 0.2495
O4 0.5748 0.7874 0.7480
W3 0.5000 0.5000 0.7505
O5 0.7874 0.2126 0.7480
O6 0.0000 0.5000 0.0000
O7 0.2126 0.7874 0.7480
K1 0.0000 0.0000 0.5000
O8 0.7874 0.5748 0.2520
O9 0.5748 0.7874 0.2520
W4 0.0000 0.5000 0.2495
O10 0.2126 0.4252 0.7480
O11 0.4252 0.2126 0.7480
O12 0.5000 0.0000 0.0000
O13 0.2126 0.7874 0.2520
O14 0.5000 0.5000 0.5000
O15 0.2126 0.4252 0.2520
O16 0.5000 0.5000 0.0000
W5 0.5000 0.0000 0.7505
O17 0.0000 0.5000 0.5000
W6 0.5000 0.5000 0.2495
O18 0.7874 0.5748 0.7480
```

=====

First-principles (r²SCAN) data for a geometry-optimized KYbO3 structure, as listed in the Materials Project database.

Summary:
symmetry = Pm-3m (221)

```
data_KYbO3
_cell_length_a 4.3558
_cell_length_b 4.3558
_cell_length_c 4.3558
_cell_angle_alpha 90.00
_cell_angle_beta 90.00
_cell_angle_gamma 90.00
_space_group_name_H-M_alt 'P 1'
_space_group_IT_number 1
_space_group_name_Hall 'P 1'
loop_
_atom_site_label
_atom_site_fract_x
_atom_site_fract_y
_atom_site_fract_z
O1 0.5000 0.5000 0.0000
K1 0.0000 0.0000 0.0000
O2 0.0000 0.5000 0.5000
Yb1 0.5000 0.5000 0.5000
O3 0.5000 0.0000 0.5000
```

=====

First-principles (r²SCAN) data for a geometry-optimized K4ZnO3 structure, as listed in the Materials Project database.

Summary:
symmetry = P-1 (2)

```
data_K4ZnO3
_cell_length_a 6.9304
_cell_length_b 8.7958
_cell_length_c 10.9844
_cell_angle_alpha 102.40
_cell_angle_beta 89.19
_cell_angle_gamma 109.67
_space_group_name_H-M_alt 'P 1'
_space_group_IT_number 1
_space_group_name_Hall 'P 1'
loop_
_atom_site_label
_atom_site_fract_x
_atom_site_fract_y
_atom_site_fract_z
Zn1 0.2881 0.7201 0.5587
O1 0.1422 0.3608 0.0977
O2 0.3938 0.1621 0.8923
O3 0.0761 0.8022 0.5333
K1 0.6904 0.6454 0.5825
K2 0.3648 0.0851 0.1162
O4 0.9239 0.1978 0.4667
Zn2 0.7119 0.2799 0.4413
O5 0.4407 0.6780 0.4176
Zn3 0.8359 0.7683 0.0611
K3 0.5072 0.5306 0.1984
O6 0.0572 0.8298 0.1833
K4 0.8389 0.8755 0.3782
O7 0.8578 0.6392 0.9023
K5 0.0215 0.5560 0.2961
O8 0.9428 0.1702 0.8167
K6 0.2228 0.6549 0.0145
K7 0.6352 0.9149 0.8838
K8 0.7772 0.3451 0.9855
Zn4 0.1641 0.2317 0.9389
K9 0.1611 0.1245 0.6218
K10 0.8883 0.1343 0.2061
K11 0.4928 0.4694 0.8016
O9 0.6365 0.3091 0.2842
K12 0.3814 0.9105 0.3312
K13 0.6186 0.0895 0.6688
K14 0.1117 0.8657 0.7939
K15 0.9785 0.4440 0.7039
O10 0.6062 0.8379 0.1077
K16 0.3096 0.3546 0.4175
O11 0.5593 0.3220 0.5824
O12 0.3635 0.6909 0.7158
```

=====

First-principles (r²SCAN) data for a geometry-optimized K2Zn3O4 structure, as listed in the Materials Project database.

Summary:
symmetry = C2/c (15)

```
data_K2Zn3O4
_cell_length_a 5.7199
_cell_length_b 6.3654
_cell_length_c 8.0299
_cell_angle_alpha 113.35
_cell_angle_beta 101.74
_cell_angle_gamma 90.00
_space_group_name_H-M_alt 'P 1'
_space_group_IT_number 1
_space_group_name_Hall 'P 1'
loop_
_atom_site_label
_atom_site_fract_x
_atom_site_fract_y
_atom_site_fract_z
O1 0.0442 0.3794 0.1162
O2 0.2164 0.3879 0.5280
O3 0.7836 0.6121 0.4720
Zn1 0.9140 0.4262 0.6175
O4 0.5442 0.7368 0.1162
K1 0.5132 0.7602 0.7634
K2 0.0132 0.0033 0.7634
Zn2 0.2500 0.5201 0.0000
K3 0.4868 0.2398 0.2366
O5 0.2836 0.8599 0.4720
Zn3 0.4140 0.1913 0.6175
Zn4 0.0860 0.5738 0.3825
O6 0.7164 0.1401 0.5280
O7 0.4558 0.2632 0.8838
O8 0.9558 0.6206 0.8838
K4 0.9868 0.9967 0.2366
Zn5 0.5860 0.8087 0.3825
Zn6 0.7500 0.4799 0.0000
```

=====

First-principles (r²SCAN) data for a geometry-optimized K2Zr2O5 structure, as listed in the Materials Project database.

Summary:
symmetry = Pnna (52)

```
data_K2Zr2O5
_cell_length_a 5.8532
_cell_length_b 8.7164
_cell_length_c 10.8152
_cell_angle_alpha 90.00
_cell_angle_beta 90.00
_cell_angle_gamma 90.00
_space_group_name_H-M_alt 'P 1'
_space_group_IT_number 1
_space_group_name_Hall 'P 1'
loop_
_atom_site_label
_atom_site_fract_x
_atom_site_fract_y
_atom_site_fract_z
O1 0.3731 0.5513 0.3937
Zr1 0.0318 0.6604 0.4234
K1 0.4352 0.0761 0.6669
O2 0.7500 0.1745 0.5000
O3 0.8731 0.4487 0.3937
O4 0.6269 0.0513 0.8937
O5 0.1269 0.5513 0.6063
O6 0.0098 0.2500 0.7500
O7 0.8731 0.0513 0.1063
Zr2 0.5318 0.3396 0.4234
K2 0.5648 0.9239 0.3331
O8 0.2500 0.6745 0.0000
Zr3 0.9682 0.1604 0.9234
O9 0.1269 0.9487 0.8937
O10 0.6269 0.4487 0.6063
O11 0.5098 0.7500 0.7500
O12 0.9902 0.7500 0.2500
Zr4 0.0318 0.8396 0.0766
O13 0.3731 0.9487 0.1063
K3 0.0648 0.4239 0.1669
K4 0.4352 0.4239 0.8331
K5 0.9352 0.5761 0.8331
O14 0.4902 0.2500 0.2500
O15 0.7500 0.7438 0.0000
K6 0.0648 0.0761 0.3331
O16 0.2500 0.2562 0.0000
Zr5 0.9682 0.3396 0.5766
O17 0.2500 0.8255 0.5000
O18 0.2500 0.2438 0.5000
O19 0.7500 0.3255 0.0000
K7 0.5648 0.5761 0.1669
Zr6 0.4682 0.6604 0.5766
K8 0.9352 0.9239 0.6669
Zr7 0.4682 0.8396 0.9234
O20 0.7500 0.7562 0.5000
Zr8 0.5318 0.1604 0.0766
```

=====

First-principles (r²SCAN) data for a geometry-optimized K4ZrO4 structure, as listed in the Materials Project database.

Summary:
symmetry = P-1 (2)

```
data_K4ZrO4
_cell_length_a 6.5537
_cell_length_b 6.5606
_cell_length_c 9.7762
_cell_angle_alpha 72.07
_cell_angle_beta 80.16
_cell_angle_gamma 67.13
_space_group_name_H-M_alt 'P 1'
_space_group_IT_number 1
_space_group_name_Hall 'P 1'
loop_
_atom_site_label
_atom_site_fract_x
_atom_site_fract_y
_atom_site_fract_z
K1 0.7401 0.5883 0.1718
O1 0.4616 0.8414 0.3542
K2 0.7265 0.4860 0.5593
O2 0.1403 0.1595 0.0788
Zr1 0.7200 0.8464 0.7556
Zr2 0.2800 0.1536 0.2444
O3 0.5384 0.1586 0.6458
O4 0.9622 0.7102 0.6227
K3 0.7756 0.0419 0.3856
O5 0.0378 0.2898 0.3773
K4 0.2735 0.5140 0.4407
K5 0.7587 0.2392 0.9754
O6 0.4676 0.3444 0.1934
O7 0.5324 0.6556 0.8066
K6 0.2413 0.7608 0.0246
K7 0.2599 0.4117 0.8282
O8 0.8597 0.8405 0.9212
K8 0.2244 0.9581 0.6144
```

=====

First-principles (r²SCAN) data for a geometry-optimized K2ZrO3 structure, as listed in the Materials Project database.

Summary:
symmetry = Pnma (62)

```
data_K2ZrO3
_cell_length_a 5.8843
_cell_length_b 6.9612
_cell_length_c 10.4531
_cell_angle_alpha 90.00
_cell_angle_beta 90.00
_cell_angle_gamma 90.00
_space_group_name_H-M_alt 'P 1'
_space_group_IT_number 1
_space_group_name_Hall 'P 1'
loop_
_atom_site_label
_atom_site_fract_x
_atom_site_fract_y
_atom_site_fract_z
O1 0.9838 0.7703 0.1213
O2 0.5162 0.2703 0.6213
K1 0.7657 0.3862 0.4143
O3 0.8429 0.6103 0.7500
K2 0.7343 0.8862 0.5857
Zr1 0.2214 0.6585 0.2500
Zr2 0.7214 0.8415 0.2500
K3 0.7657 0.3862 0.0857
O4 0.3429 0.8897 0.7500
K4 0.2657 0.1138 0.4143
K5 0.2343 0.6138 0.5857
O5 0.4838 0.7297 0.3787
O6 0.9838 0.7703 0.3787
Zr3 0.2786 0.1585 0.7500
K6 0.7343 0.8862 0.9143
O7 0.4838 0.7297 0.1213
K7 0.2657 0.1138 0.0857
O8 0.5162 0.2703 0.8787
O9 0.0162 0.2297 0.8787
O10 0.0162 0.2297 0.6213
O11 0.6571 0.1103 0.2500
K8 0.2343 0.6138 0.9143
O12 0.1571 0.3897 0.2500
Zr4 0.7786 0.3415 0.7500
```

=====

First-principles (r²SCAN) data for a geometry-optimized KP structure, as listed in the Materials Project database.

Summary:
symmetry = P2_12_12_1 (19)

```
data_KP
_cell_length_a 6.0281
_cell_length_b 6.5411
_cell_length_c 11.3536
_cell_angle_alpha 90.00
_cell_angle_beta 90.00
_cell_angle_gamma 90.00
_space_group_name_H-M_alt 'P 1'
_space_group_IT_number 1
_space_group_name_Hall 'P 1'
loop_
_atom_site_label
_atom_site_fract_x
_atom_site_fract_y
_atom_site_fract_z
K1 0.1490 0.3678 0.3347
P1 0.0830 0.4374 0.6490
K2 0.5835 0.3969 0.5320
P2 0.1563 0.8323 0.2209
P3 0.5830 0.5626 0.8510
P4 0.9170 0.0626 0.1490
P5 0.6563 0.1677 0.2791
P6 0.8437 0.6677 0.7209
K3 0.4165 0.1031 0.0320
P7 0.4170 0.9374 0.3510
K4 0.6490 0.6322 0.1653
K5 0.9165 0.8969 0.4680
K6 0.3510 0.8678 0.6653
K7 0.0835 0.6031 0.9680
P8 0.3437 0.3323 0.7791
K8 0.8510 0.1322 0.8347
```

=====

First-principles (r²SCAN) data for a geometry-optimized KP15 structure, as listed in the Materials Project database.

Summary:
symmetry = P-1 (2)

```
data_KP15
_cell_length_a 7.3254
_cell_length_b 9.3108
_cell_length_c 12.2488
_cell_angle_alpha 89.32
_cell_angle_beta 78.45
_cell_angle_gamma 70.29
_space_group_name_H-M_alt 'P 1'
_space_group_IT_number 1
_space_group_name_Hall 'P 1'
loop_
_atom_site_label
_atom_site_fract_x
_atom_site_fract_y
_atom_site_fract_z
P1 0.3109 0.0147 0.4052
P2 0.3368 0.3106 0.5693
P3 0.0115 0.6601 0.5959
P4 0.0326 0.1054 0.3421
P5 0.9814 0.4322 0.8205
P6 0.2875 0.1226 0.8197
P7 0.6092 0.2294 0.6345
P8 0.3424 0.2054 0.1594
P9 0.9674 0.8946 0.6579
P10 0.4733 0.9125 0.7204
P11 0.2445 0.5029 0.8164
P12 0.6576 0.7946 0.8406
P13 0.1216 0.1012 0.1639
P14 0.9885 0.3399 0.4041
P15 0.7943 0.5898 0.7223
P16 0.3908 0.7706 0.3655
K1 0.7816 0.2143 0.0024
P17 0.0186 0.5678 0.1795
P18 0.3004 0.5388 0.6345
P19 0.6996 0.4612 0.3655
P20 0.5220 0.7330 0.1838
P21 0.7125 0.8774 0.1803
P22 0.1128 0.2368 0.6978
P23 0.2057 0.4102 0.2777
P24 0.6891 0.9853 0.5948
P25 0.6632 0.6894 0.4307
P26 0.5267 0.0875 0.2796
P27 0.4780 0.2670 0.8162
P28 0.8872 0.7632 0.3022
P29 0.8784 0.8988 0.8361
P30 0.7555 0.4971 0.1836
K2 0.2184 0.7857 0.9976
```

=====

First-principles (r²SCAN) data for a geometry-optimized K3P structure, as listed in the Materials Project database.

Summary:
symmetry = P6_3/mmc (194)

```
data_K3P
_cell_length_a 5.6740
_cell_length_b 5.6740
_cell_length_c 10.0220
_cell_angle_alpha 90.00
_cell_angle_beta 90.00
_cell_angle_gamma 120.00
_space_group_name_H-M_alt 'P 1'
_space_group_IT_number 1
_space_group_name_Hall 'P 1'
loop_
_atom_site_label
_atom_site_fract_x
_atom_site_fract_y
_atom_site_fract_z
K1 0.0000 0.0000 0.2500
K2 0.6667 0.3333 0.0811
P1 0.6667 0.3333 0.7500
K3 0.6667 0.3333 0.4189
K4 0.0000 0.0000 0.7500
P2 0.3333 0.6667 0.2500
K5 0.3333 0.6667 0.5811
K6 0.3333 0.6667 0.9189
```

=====

First-principles (r²SCAN) data for a geometry-optimized K3PS4 structure, as listed in the Materials Project database.

Summary:
symmetry = Pnma (62)

```
data_K3PS4
_cell_length_a 9.0336
_cell_length_b 9.1475
_cell_length_c 10.5246
_cell_angle_alpha 90.00
_cell_angle_beta 90.00
_cell_angle_gamma 90.00
_space_group_name_H-M_alt 'P 1'
_space_group_IT_number 1
_space_group_name_Hall 'P 1'
loop_
_atom_site_label
_atom_site_fract_x
_atom_site_fract_y
_atom_site_fract_z
K1 0.1438 0.0800 0.2500
S1 0.8332 0.0388 0.0896
S2 0.1668 0.9612 0.9104
P1 0.2208 0.5202 0.2500
S3 0.3332 0.4612 0.4104
S4 0.8051 0.2578 0.7500
S5 0.6949 0.7578 0.2500
S6 0.1949 0.7422 0.2500
K2 0.0527 0.2977 0.5423
K3 0.4473 0.7977 0.0423
K4 0.3562 0.5800 0.7500
K5 0.5527 0.2023 0.5423
K6 0.4473 0.7977 0.4577
S7 0.4835 0.9209 0.7500
K7 0.9473 0.7023 0.4577
K8 0.8562 0.9200 0.7500
P2 0.2792 0.0202 0.7500
S8 0.8332 0.0388 0.4104
P3 0.7792 0.4798 0.7500
K9 0.6438 0.4200 0.2500
S9 0.0165 0.4209 0.2500
P4 0.7208 0.9798 0.2500
S10 0.1668 0.9612 0.5896
S11 0.3332 0.4612 0.0896
S12 0.6668 0.5388 0.9104
S13 0.3051 0.2422 0.7500
S14 0.6668 0.5388 0.5896
K10 0.0527 0.2977 0.9577
S15 0.9835 0.5791 0.7500
K11 0.5527 0.2023 0.9577
S16 0.5165 0.0791 0.2500
K12 0.9473 0.7023 0.0423
```

=====

Calculated formation energy / eV/atom: -2.32; -2.32; -2.14; -1.40; -1.59; -3.09; -2.27; -2.71; -0.54; -0.12; -0.34; -1.17
Total DFT energy (no corrections) / eV per atom: -19.1914; -19.1855; -14.2313; -7.7603; -8.5565; -12.8057; -10.1263; -11.4955; -8.0468; -8.9389; -7.0993; -8.5733